Entry 1:
Here is a geometry-optimized EuAl3B4O12 structure from the Materials Project database. Energies are from PBE-GGA.

Cell lengths 5.9680, 5.9680, 16.4438 Å; angles 89.32, 89.32, 104.13 degrees
Positions (direct):
Eu  0.4542  0.2060  0.6684
Eu  0.7940  0.5458  0.3316
Eu  0.5534  0.4466  0.0000
Al  0.9672  0.2901  0.1474
Al  0.7099  0.0328  0.8526
Al  0.3752  0.6959  0.1856
Al  0.3041  0.6248  0.8144
Al  0.3448  0.9885  0.3343
Al  0.0115  0.6552  0.6657
Al  0.6426  0.9515  0.4811
Al  0.0485  0.3574  0.5189
Al  0.9990  0.0010  0.0000
B  0.5651  0.4349  0.5000
B  0.8668  0.0633  0.3142
B  0.9367  0.1332  0.6858
B  0.4756  0.9266  0.0187
B  0.0734  0.5244  0.9813
B  0.2706  0.4664  0.3527
B  0.5336  0.7294  0.6473
B  0.8919  0.7714  0.1622
B  0.2286  0.1081  0.8378
B  0.1235  0.8765  0.5000
B  0.4513  0.2137  0.1703
B  0.7863  0.5487  0.8297
O  0.0248  0.9341  0.3258
O  0.0659  0.9752  0.6742
O  0.7137  0.2863  0.5000
O  0.9480  0.9760  0.1170
O  0.0240  0.0520  0.8830
O  0.3009  0.3601  0.1665
O  0.6399  0.6991  0.8335
O  0.4438  0.7503  0.0750
O  0.2497  0.5562  0.9250
O  0.6675  0.0146  0.3633
O  0.9854  0.3325  0.6367
O  0.6887  0.7068  0.2066
O  0.2932  0.3113  0.7934
O  0.3964  0.0105  0.2161
O  0.9895  0.6036  0.7839
O  0.6532  0.2777  0.1249
O  0.7223  0.3468  0.8751
O  0.7621  0.1058  0.7426
O  0.8942  0.2379  0.2574
O  0.5608  0.9060  0.5911
O  0.0940  0.4392  0.4089
O  0.3216  0.9269  0.4507
O  0.0731  0.6784  0.5493
O  0.3199  0.0584  0.0062
O  0.9416  0.6801  0.9938
O  0.0422  0.6252  0.1674
O  0.3748  0.9578  0.8326
O  0.3158  0.6650  0.3031
O  0.3350  0.6842  0.6969
O  0.4024  0.3101  0.3414
O  0.6899  0.5976  0.6586
O  0.9752  0.0248  0.5000
O  0.6352  0.6426  0.4590
O  0.3574  0.3648  0.5410
O  0.0269  0.3237  0.0299
O  0.6763  0.9731  0.9701

Values from the calculation:
The formation energy comes out at -3141 meV/atom. As for the symmetry: C2, No. 5. The raw total energy comes out at -8.108 eV per atom.

=====

Entry 2:
Here is a geometry-optimized EuAl3B4O12 structure from the Materials Project database. Energies are from PBE-GGA.

Cell lengths 5.9526, 5.9526, 5.9526 Å; angles 104.03, 104.03, 104.03 degrees
Positions (direct):
Eu  0.0000  0.0000  0.0000
Al  0.0000  0.4434  0.5566
Al  0.4434  0.5566  0.0000
Al  0.5566  0.0000  0.4434
B  0.5000  0.5000  0.5000
B  0.5000  0.0588  0.9412
B  0.0588  0.9412  0.5000
B  0.9412  0.5000  0.0588
O  0.5000  0.6486  0.3514
O  0.6486  0.3514  0.5000
O  0.3514  0.5000  0.6486
O  0.5000  0.9098  0.0902
O  0.9098  0.0902  0.5000
O  0.0902  0.5000  0.9098
O  0.6208  0.0280  0.7730
O  0.0280  0.7730  0.6208
O  0.7730  0.6208  0.0280
O  0.3792  0.2270  0.9720
O  0.9720  0.3792  0.2270
O  0.2270  0.9720  0.3792

Values from the calculation:
The formation energy comes out at -3141 meV/atom. As for the symmetry: R32, No. 155. The raw total energy comes out at -8.108 eV per atom.

=====

Entry 3:
Here is a geometry-optimized EuYAl6B8O24 structure from the Materials Project database. Energies are from PBE-GGA.

Cell lengths 5.9339, 5.9339, 11.1781 Å; angles 81.93, 81.93, 104.15 degrees
Positions (direct):
Eu  0.4991  0.5009  0.0000
Y  0.0000  0.0000  0.5000
Al  0.2775  0.8343  0.2226
Al  0.7783  0.3334  0.7215
Al  0.6666  0.2217  0.2785
Al  0.1657  0.7225  0.7774
Al  0.0566  0.9434  0.0000
Al  0.5558  0.4442  0.5000
B  0.9709  0.4125  0.0294
B  0.4710  0.9138  0.5287
B  0.0862  0.5290  0.4713
B  0.5875  0.0291  0.9706
B  0.1919  0.3078  0.2513
B  0.6922  0.8081  0.7487
B  0.7499  0.7497  0.2502
B  0.2503  0.2501  0.7498
O  0.5455  0.1367  0.4546
O  0.0455  0.6354  0.9549
O  0.3646  0.9545  0.0451
O  0.8633  0.4545  0.5454
O  0.3413  0.1595  0.2499
O  0.8405  0.6587  0.7501
O  0.6758  0.5270  0.3247
O  0.1757  0.0271  0.8242
O  0.9729  0.8243  0.1758
O  0.4730  0.3242  0.6753
O  0.6012  0.8983  0.2502
O  0.1017  0.3988  0.7498
O  0.7664  0.3579  0.1136
O  0.2609  0.8605  0.6102
O  0.2357  0.3867  0.4857
O  0.7409  0.8923  0.9857
O  0.2800  0.5359  0.1907
O  0.7875  0.0361  0.6850
O  0.9639  0.2125  0.3150
O  0.4641  0.7200  0.8093
O  0.1395  0.7391  0.3898
O  0.6421  0.2336  0.8864
O  0.1077  0.2591  0.0143
O  0.6133  0.7643  0.5143

Values from the calculation:
The formation energy comes out at -3193 meV/atom. As for the symmetry: C2, No. 5. The raw total energy comes out at -8.065 eV per atom.

=====

Entry 4:
Here is a geometry-optimized Na4Al3Si3BO12F4 structure from the Materials Project database. Energies are from PBE-GGA.

Cell lengths 8.9701, 9.1499, 9.4381 Å; angles 91.19, 90.27, 90.43 degrees
Positions (direct):
Na  0.7770  0.7549  0.7708
Na  0.2552  0.7461  0.2602
Na  0.2741  0.7197  0.6964
Na  0.7076  0.6970  0.2492
Na  0.2845  0.2945  0.2947
Na  0.7207  0.2928  0.7139
Na  0.2371  0.2445  0.7277
Na  0.7597  0.2542  0.2291
Al  0.2365  0.0011  0.4849
Al  0.7283  0.9968  0.4928
Al  0.4916  0.7466  0.9726
Al  0.0269  0.4897  0.7218
Al  0.0220  0.5120  0.2603
Al  0.4926  0.2540  0.0046
Si  0.4910  0.9885  0.2345
Si  0.4850  0.0122  0.7428
Si  0.9778  0.7496  0.5052
Si  0.7572  0.4997  0.9778
Si  0.2370  0.4967  0.9897
Si  0.9845  0.2495  0.4704
B  0.9794  0.0575  0.9748
B  0.5161  0.5394  0.5200
O  0.6289  0.9450  0.3384
O  0.3373  0.9773  0.6435
O  0.4577  0.8439  0.1323
O  0.5227  0.8639  0.8294
O  0.1253  0.8458  0.4616
O  0.8302  0.8461  0.5460
O  0.0159  0.6705  0.6553
O  0.9324  0.6473  0.3673
O  0.3393  0.6315  0.9277
O  0.6597  0.6510  0.9920
O  0.1297  0.5729  0.1106
O  0.8528  0.5132  0.8322
O  0.1277  0.4215  0.8713
O  0.8675  0.4929  0.1192
O  0.3415  0.3666  0.0546
O  0.6586  0.3479  0.9598
O  0.0008  0.3292  0.3175
O  0.9474  0.3513  0.6097
O  0.1417  0.1657  0.5038
O  0.8411  0.1421  0.4451
O  0.5296  0.1365  0.1470
O  0.4461  0.1528  0.8469
O  0.3404  0.0179  0.3285
O  0.6260  0.0577  0.6430
F  0.5510  0.5996  0.6466
F  0.5277  0.3958  0.5041
F  0.2036  0.5260  0.3543
F  0.4794  0.6304  0.4183
F  0.6390  0.4611  0.2459
F  0.2268  0.4781  0.6364
F  0.8517  0.0019  0.0193
F  0.0209  0.0347  0.8411

Values from the calculation:
The formation energy comes out at -2992 meV/atom. As for the symmetry: P1, No. 1. The raw total energy comes out at -6.564 eV per atom.

=====

Entry 5:
Here is a geometry-optimized Al6B5O15F3 structure from the Materials Project database. Energies are from PBE-GGA.

Cell lengths 8.6492, 8.6492, 8.2659 Å; angles 90.00, 90.00, 120.00 degrees
Positions (direct):
Al  0.0145  0.3516  0.4252
Al  0.6628  0.0145  0.9252
Al  0.3516  0.3372  0.9252
Al  0.6484  0.6628  0.4252
Al  0.3372  0.9855  0.4252
Al  0.9855  0.6484  0.9252
Al  0.9855  0.6484  0.5748
Al  0.3372  0.9855  0.0748
Al  0.6484  0.6628  0.0748
Al  0.3516  0.3372  0.5748
Al  0.6628  0.0145  0.5748
Al  0.0145  0.3516  0.0748
B  0.6667  0.3333  0.4477
B  0.3333  0.6667  0.5523
B  0.6667  0.3333  0.0523
B  0.3333  0.6667  0.9477
B  0.0024  0.2328  0.7500
B  0.7696  0.0024  0.2500
B  0.2328  0.2304  0.2500
B  0.7672  0.7696  0.7500
B  0.2304  0.9976  0.7500
B  0.9976  0.7672  0.2500
O  0.4113  0.8494  0.5526
O  0.8494  0.4381  0.0526
O  0.4381  0.5887  0.5526
O  0.5619  0.4113  0.0526
O  0.5887  0.1506  0.0526
O  0.1506  0.5619  0.5526
O  0.8146  0.6974  0.2500
O  0.1171  0.8146  0.7500
O  0.6974  0.8829  0.7500
O  0.1854  0.3026  0.7500
O  0.3026  0.1171  0.2500
O  0.8829  0.1854  0.2500
O  0.8494  0.4381  0.4474
O  0.4113  0.8494  0.9474
O  0.4381  0.5887  0.9474
O  0.5619  0.4113  0.4474
O  0.5887  0.1506  0.4474
O  0.1506  0.5619  0.9474
O  0.1959  0.2839  0.1021
O  0.9120  0.1959  0.6021
O  0.2839  0.0880  0.6021
O  0.7161  0.9120  0.1021
O  0.0880  0.8041  0.1021
O  0.8041  0.7161  0.6021
O  0.8041  0.7161  0.8979
O  0.0880  0.8041  0.3979
O  0.7161  0.9120  0.3979
O  0.2839  0.0880  0.8979
O  0.9120  0.1959  0.8979
O  0.1959  0.2839  0.3979
F  0.8893  0.5017  0.7500
F  0.3876  0.8893  0.2500
F  0.5017  0.6124  0.2500
F  0.4983  0.3876  0.7500
F  0.6124  0.1107  0.7500
F  0.1107  0.4983  0.2500

Values from the calculation:
The formation energy comes out at -3272 meV/atom. As for the symmetry: P6_3/m, No. 176. The raw total energy comes out at -7.553 eV per atom.

=====

Entry 6:
Here is a geometry-optimized AlFe3B structure from the Materials Project database. Energies are from PBE-GGA.

Cell lengths 3.8223, 3.8223, 3.8223 Å; angles 90.00, 90.00, 90.00 degrees
Positions (direct):
Al  0.5000  0.5000  0.5000
Fe  0.5000  0.0000  0.0000
Fe  0.0000  0.5000  0.0000
Fe  0.0000  0.0000  0.5000
B  0.0000  0.0000  0.0000

Values from the calculation:
The formation energy comes out at -147 meV/atom. As for the symmetry: Pm-3m, No. 221. The raw total energy comes out at -7.314 eV per atom.

=====

Entry 7:
Here is a geometry-optimized Y2Al3Ga3B8O24 structure from the Materials Project database. Energies are from PBE-GGA.

Cell lengths 5.9841, 6.0000, 11.3040 Å; angles 98.23, 98.05, 104.13 degrees
Positions (direct):
Y  0.9999  0.9997  0.9999
Y  0.4998  0.5000  0.5000
Al  0.4463  0.5540  0.9991
Al  0.3308  0.7758  0.7780
Al  0.8297  0.2765  0.2762
Ga  0.7228  0.1723  0.7252
Ga  0.2236  0.6710  0.2233
Ga  0.9482  0.0518  0.4989
B  0.0285  0.5817  0.5281
B  0.5276  0.0837  0.0277
B  0.8059  0.6960  0.7503
B  0.3061  0.1962  0.2500
B  0.9170  0.4736  0.9732
B  0.4185  0.9725  0.4726
B  0.2518  0.2517  0.7525
B  0.7489  0.7489  0.2479
O  0.4539  0.8622  0.9541
O  0.9555  0.3656  0.4507
O  0.6537  0.8371  0.7529
O  0.1540  0.3375  0.2519
O  0.6373  0.0456  0.5458
O  0.1409  0.5474  0.0423
O  0.2356  0.6365  0.6103
O  0.7358  0.1375  0.1097
O  0.7130  0.4728  0.6831
O  0.2137  0.9731  0.1827
O  0.7677  0.6132  0.9861
O  0.2756  0.1189  0.4841
O  0.8818  0.7256  0.5152
O  0.3875  0.2337  0.0131
O  0.8642  0.2606  0.8959
O  0.3647  0.7609  0.3951
O  0.0320  0.7851  0.8134
O  0.5323  0.2858  0.3130
O  0.3268  0.4734  0.8250
O  0.8212  0.9720  0.3184
O  0.3914  0.0977  0.7525
O  0.8913  0.5979  0.2523
O  0.0331  0.1800  0.6781
O  0.5318  0.6745  0.1716

Values from the calculation:
The formation energy comes out at -3011 meV/atom. As for the symmetry: P1, No. 1. The raw total energy comes out at -7.735 eV per atom.

=====

Entry 8:
Here is a geometry-optimized GdAl3B4O12 structure from the Materials Project database. Energies are from PBE-GGA.

Cell lengths 5.9437, 5.9437, 5.9437 Å; angles 104.24, 104.24, 104.24 degrees
Positions (direct):
Gd  0.0000  0.0000  0.0000
Al  0.0000  0.4446  0.5554
Al  0.5554  0.0000  0.4446
Al  0.4446  0.5554  0.0000
B  0.5000  0.0571  0.9429
B  0.9429  0.5000  0.0571
B  0.0571  0.9429  0.5000
B  0.5000  0.5000  0.5000
O  0.2226  0.9722  0.3749
O  0.6251  0.0278  0.7774
O  0.0278  0.7774  0.6251
O  0.7774  0.6251  0.0278
O  0.6486  0.3514  0.5000
O  0.3514  0.5000  0.6486
O  0.5000  0.6486  0.3514
O  0.9087  0.0913  0.5000
O  0.0913  0.5000  0.9087
O  0.5000  0.9087  0.0913
O  0.9722  0.3749  0.2226
O  0.3749  0.2226  0.9722

Values from the calculation:
The formation energy comes out at -3240 meV/atom. As for the symmetry: R32, No. 155. The raw total energy comes out at -8.398 eV per atom.

=====

Entry 9:
Here is a geometry-optimized GdAl3B4O12 structure from the Materials Project database. Energies are from PBE-GGA.

Cell lengths 5.9456, 5.9456, 16.3400 Å; angles 89.57, 89.57, 104.35 degrees
Positions (direct):
Gd  0.8317  0.8283  0.1681
Gd  0.1717  0.1683  0.8319
Gd  0.9309  0.0691  0.5000
Al  0.0201  0.5723  0.9815
Al  0.3446  0.9137  0.6478
Al  0.3782  0.6218  0.5000
Al  0.0863  0.6554  0.3522
Al  0.4277  0.9799  0.0185
Al  0.7550  0.3204  0.6854
Al  0.6796  0.2450  0.3146
Al  0.3887  0.2771  0.1657
Al  0.7229  0.6113  0.8343
B  0.6497  0.0904  0.8522
B  0.8568  0.5496  0.5185
B  0.2711  0.3949  0.6633
B  0.5008  0.4992  0.0000
B  0.3149  0.7558  0.1854
B  0.9096  0.3503  0.1478
B  0.8288  0.8388  0.6698
B  0.2442  0.6851  0.8146
B  0.9446  0.0554  0.0000
B  0.1612  0.1712  0.3302
B  0.4504  0.1432  0.4815
B  0.6051  0.7289  0.3367
O  0.7764  0.6357  0.7159
O  0.7375  0.9847  0.0422
O  0.4013  0.6752  0.3823
O  0.3645  0.9549  0.1364
O  0.4004  0.5520  0.8256
O  0.4700  0.0630  0.9077
O  0.0306  0.9055  0.6233
O  0.3165  0.2982  0.4939
O  0.4507  0.3003  0.0493
O  0.6997  0.5493  0.9507
O  0.7853  0.9359  0.8414
O  0.4480  0.5996  0.1744
O  0.7110  0.3044  0.1971
O  0.9370  0.5300  0.0923
O  0.7509  0.5783  0.3322
O  0.7018  0.6835  0.5061
O  0.2717  0.8647  0.7591
O  0.0641  0.2147  0.1586
O  0.6295  0.1729  0.4258
O  0.3525  0.6475  0.0000
O  0.0565  0.5953  0.4698
O  0.6722  0.9313  0.2909
O  0.0153  0.2625  0.9578
O  0.4047  0.9435  0.5302
O  0.3643  0.2236  0.2841
O  0.0155  0.3220  0.3344
O  0.6780  0.9845  0.6656
O  0.0945  0.9694  0.3767
O  0.8271  0.3705  0.5742
O  0.6956  0.2890  0.8029
O  0.4217  0.2491  0.6678
O  0.0687  0.3278  0.7091
O  0.0928  0.9072  0.0000
O  0.3248  0.5987  0.6177
O  0.1353  0.7283  0.2409
O  0.0451  0.6355  0.8636

Values from the calculation:
The formation energy comes out at -3240 meV/atom. As for the symmetry: C2, No. 5. The raw total energy comes out at -8.398 eV per atom.

=====

What did the eighth record say?
Here is a geometry-optimized GdAl3B4O12 structure from the Materials Project database. Energies are from PBE-GGA.

Cell lengths 5.9437, 5.9437, 5.9437 Å; angles 104.24, 104.24, 104.24 degrees
Positions (direct):
Gd  0.0000  0.0000  0.0000
Al  0.0000  0.4446  0.5554
Al  0.5554  0.0000  0.4446
Al  0.4446  0.5554  0.0000
B  0.5000  0.0571  0.9429
B  0.9429  0.5000  0.0571
B  0.0571  0.9429  0.5000
B  0.5000  0.5000  0.5000
O  0.2226  0.9722  0.3749
O  0.6251  0.0278  0.7774
O  0.0278  0.7774  0.6251
O  0.7774  0.6251  0.0278
O  0.6486  0.3514  0.5000
O  0.3514  0.5000  0.6486
O  0.5000  0.6486  0.3514
O  0.9087  0.0913  0.5000
O  0.0913  0.5000  0.9087
O  0.5000  0.9087  0.0913
O  0.9722  0.3749  0.2226
O  0.3749  0.2226  0.9722

Values from the calculation:
The formation energy comes out at -3240 meV/atom. As for the symmetry: R32, No. 155. The raw total energy comes out at -8.398 eV per atom.